Material: Ho2MgSi2
Method: DFT, PBE-GGA
State: optimized geometry

Unit cell a=7.1322 b=7.1322 c=4.1958 alpha=90.00 beta=90.00 gamma=90.00
Closest atoms and distances in Å follow each position.
Space group P4/mbm (No. 127)
Symmetry-distinct sites (fractional):
Ho 0.1787 0.3213 0.0000 [4 per cell]  6 Si 2.93-3.01
Mg 0.0000 0.0000 0.5000 [2 per cell]  4 Si 2.85
Si 0.1180 0.6180 0.5000 [4 per cell]  1 Si 2.38

Results
* E_form: -0.6829 eV/atom
* VASP energy: -5.03 eV per atom